1.
# TaMnNO2 (GGA+U, relaxed)
# MP2020-corrected energy ... -196.31 eV for the cell shown
# Calculated volume ... 11.44 Å³ per atom
# DFT total energy ... -9.21 eV/atom
# E_form ... -1.96 eV per atom
# Total magnetic moment ... 20.00 Bohr magnetons per cell
# Density ... 8.19 g cm⁻³
data_TaMnNO2
_chemical_formula_sum 'Ta4 Mn4 N4 O8'
_cell_length_a 9.062
_cell_length_b 5.269
_cell_length_c 5.650
_cell_angle_alpha 90.00
_cell_angle_beta 122.01
_cell_angle_gamma 90.00
_symmetry_space_group_name_H-M 'C 1 c 1'
_symmetry_Int_Tables_number 9
loop_
_symmetry_equiv_pos_as_xyz
'x,y,z'
'x,-y,z+1/2'
'x+1/2,y+1/2,z'
'x+1/2,-y+1/2,z+1/2'
loop_
_atom_site_label
_atom_site_type_symbol
_atom_site_fract_x
_atom_site_fract_y
_atom_site_fract_z
Ta1 Ta 0.000 0.249 0.000
Mn1 Mn 0.288 0.230 0.877
N1 N 0.238 0.124 0.183
O1 O 0.046 0.423 0.693
O2 O 0.414 0.435 0.702

---

2.
# NaSrNdMnO6 (GGA+U, relaxed)
# MP2020-corrected energy ... -278.02 eV for the cell shown
# Calculated volume ... 14.73 Å³ per atom
# DFT total energy ... -6.37 eV/atom
# E_form ... -2.29 eV per atom
# Total magnetic moment ... 4.00 Bohr magnetons per cell
# Density ... 4.57 g cm⁻³
data_NaSrNdMnO6
_chemical_formula_sum 'Na4 Sr4 Nd4 Mn4 O24'
_cell_length_a 8.384
_cell_length_b 8.384
_cell_length_c 8.384
_cell_angle_alpha 90.00
_cell_angle_beta 90.00
_cell_angle_gamma 90.00
_symmetry_space_group_name_H-M 'F -4 3 m'
_symmetry_Int_Tables_number 216
_symmetry_space_group_name_Hall 'F -4 2 3'
loop_
_atom_site_label
_atom_site_type_symbol
_atom_site_fract_x
_atom_site_fract_y
_atom_site_fract_z
Na1 Na 0.000 0.000 0.000
Sr1 Sr 0.000 0.000 0.500
Nd1 Nd 0.250 0.250 0.750
Mn1 Mn 0.250 0.250 0.250
O1 O 0.024 0.250 0.250

---

3.
# NaNdMnWO6 (GGA+U, relaxed)
# MP2020-corrected energy ... -330.82 eV for the cell shown
# Calculated volume ... 13.04 Å³ per atom
# DFT total energy ... -7.25 eV/atom
# ΔE to the lowest computed polymorph ... 178.4 meV/atom
# E_form ... -2.48 eV per atom
# Total magnetic moment ... 20.00 Bohr magnetons per cell
# Density ... 6.39 g cm⁻³
data_NaNdMnWO6
_chemical_formula_sum 'Na4 Nd4 Mn4 W4 O24'
_cell_length_a 8.049
_cell_length_b 8.049
_cell_length_c 8.049
_cell_angle_alpha 90.00
_cell_angle_beta 90.00
_cell_angle_gamma 90.00
_symmetry_space_group_name_H-M 'F -4 3 m'
_symmetry_Int_Tables_number 216
_symmetry_space_group_name_Hall 'F -4 2 3'
loop_
_atom_site_label
_atom_site_type_symbol
_atom_site_fract_x
_atom_site_fract_y
_atom_site_fract_z
Na1 Na 0.000 0.000 0.000
Nd1 Nd 0.000 0.000 0.500
Mn1 Mn 0.250 0.250 0.750
W1 W 0.250 0.250 0.250
O1 O 0.010 0.250 0.250